14
Lattice="5.752 0.000 0.000 0.000 10.178 0.000 0.000 0.000 3.365" Properties=species:S:1:pos:R:3 comment="Cd2PbO4, relaxed, DFT PBE" rho_g_cm3=8.362 sg="Pbam, No. 55" formation_energy_mev_per_atom=-1381 pbc="T T T"
Cd 0.346 1.803 0.000
Cd 2.530 6.892 0.000
Cd 3.222 3.286 0.000
Cd 5.406 8.374 0.000
Pb 0.000 5.089 1.683
Pb 2.876 0.000 1.683
O 0.842 7.111 1.683
O 1.420 4.697 0.000
O 1.456 9.786 0.000
O 2.033 2.023 1.683
O 3.718 8.155 1.683
O 4.296 0.392 0.000
O 4.332 5.481 0.000
O 4.909 3.066 1.683